# 1
Entry from the Materials Project database: a relaxed BaBi2S4 crystal (PBE-GGA).

The structure in CIF format:
```
data_BaBi2S4
_symmetry_space_group_name_H-M 'P 63/m'
_symmetry_Int_Tables_number 176
_symmetry_space_group_name_Hall '-P 6c'
_cell_length_a 25.7896
_cell_length_b 25.7896
_cell_length_c 4.1648
_cell_angle_alpha 90.00
_cell_angle_beta 90.00
_cell_angle_gamma 120.00
loop_
_atom_site_label
_atom_site_type_symbol
_atom_site_fract_x
_atom_site_fract_y
_atom_site_fract_z
_atom_site_occupancy
Ba1 Ba 0.1207 0.7721 0.2500 1
Ba2 Ba 0.2329 0.6785 0.2500 1
Bi1 Bi 0.0226 0.1756 0.7500 1
Bi2 Bi 0.0500 0.5912 0.7500 1
Bi3 Bi 0.0579 0.3311 0.2500 1
Bi4 Bi 0.1440 0.4967 0.7500 1
S1 S 0.0023 0.3696 0.7500 1
S2 S 0.0315 0.7813 0.7500 1
S3 S 0.0635 0.1385 0.2500 1
S4 S 0.0900 0.5449 0.2500 1
S5 S 0.1140 0.3062 0.7500 1
S6 S 0.1471 0.6944 0.7500 1
S7 S 0.1747 0.4487 0.2500 1
S8 S 0.2479 0.5916 0.7500 1
```

Computed properties:
Distance to the lowest polymorph of the same formula ... 10 meV per atom
Formation enthalpy at 0 K ... -8.179 eV/f.u.
Raw total energy ... -388.9 eV for the cell shown

=====

# 2
Entry from the Materials Project database: a relaxed Rb4CdCl6 crystal (PBE-GGA).

The structure in CIF format:
```
data_Rb4CdCl6
_symmetry_space_group_name_H-M 'C 1 2/c 1'
_symmetry_Int_Tables_number 15
_cell_length_a 7.729
_cell_length_b 24.742
_cell_length_c 8.837
_cell_angle_alpha 90.00
_cell_angle_beta 105.96
_cell_angle_gamma 90.00
loop_
_symmetry_equiv_pos_as_xyz
'x,y,z'
'-x,-y,-z'
'-x,y,-z+1/2'
'x,-y,z+1/2'
'x+1/2,y+1/2,z'
'-x+1/2,-y+1/2,-z'
'-x+1/2,y+1/2,-z+1/2'
'x+1/2,-y+1/2,z+1/2'
loop_
_atom_site_label
_atom_site_type_symbol
_atom_site_fract_x
_atom_site_fract_y
_atom_site_fract_z
_atom_site_occupancy
Rb1 Rb 0.000 0.026 0.250 1
Rb2 Rb 0.000 0.143 0.750 1
Rb3 Rb 0.168 0.321 0.607 1
Cd1 Cd 0.000 0.500 0.000 1
Cl1 Cl 0.041 0.214 0.049 1
Cl2 Cl 0.178 0.421 0.951 1
Cl3 Cl 0.236 0.439 0.415 1
```

Computed properties:
Distance to the lowest polymorph of the same formula ... 135 meV per atom
Formation enthalpy at 0 K ... -21.250 eV/f.u.
Raw total energy ... -134.0 eV for the cell shown

=====

# 3
Entry from the Materials Project database: a relaxed MoP4 crystal (PBE-GGA).

The structure in CIF format:
```
data_MoP4
_symmetry_space_group_name_H-M 'C 1 2/c 1'
_symmetry_Int_Tables_number 15
_cell_length_a 5.340
_cell_length_b 11.219
_cell_length_c 5.862
_cell_angle_alpha 90.00
_cell_angle_beta 110.71
_cell_angle_gamma 90.00
loop_
_symmetry_equiv_pos_as_xyz
'x,y,z'
'-x,-y,-z'
'-x,y,-z+1/2'
'x,-y,z+1/2'
'x+1/2,y+1/2,z'
'-x+1/2,-y+1/2,-z'
'-x+1/2,y+1/2,-z+1/2'
'x+1/2,-y+1/2,z+1/2'
loop_
_atom_site_label
_atom_site_type_symbol
_atom_site_fract_x
_atom_site_fract_y
_atom_site_fract_z
_atom_site_occupancy
Mo1 Mo 0.000 0.059 0.250 1
P1 P 0.221 0.406 0.317 1
P2 P 0.223 0.278 0.811 1
```

Computed properties:
Formation enthalpy at 0 K ... -1.657 eV/f.u.
Raw total energy ... -136.6 eV for the cell shown

=====

# 4
Entry from the Materials Project database: a relaxed Rb3HoO3 crystal (PBE-GGA).

The structure in CIF format:
```
data_Rb3HoO3
_symmetry_space_group_name_H-M 'C 1 2/m 1'
_symmetry_Int_Tables_number 12
_cell_length_a 7.732
_cell_length_b 12.478
_cell_length_c 7.292
_cell_angle_alpha 90.00
_cell_angle_beta 99.17
_cell_angle_gamma 90.00
loop_
_symmetry_equiv_pos_as_xyz
'x,y,z'
'-x,-y,-z'
'-x,y,-z'
'x,-y,z'
'x+1/2,y+1/2,z'
'-x+1/2,-y+1/2,-z'
'-x+1/2,y+1/2,-z'
'x+1/2,-y+1/2,z'
loop_
_atom_site_label
_atom_site_type_symbol
_atom_site_fract_x
_atom_site_fract_y
_atom_site_fract_z
_atom_site_occupancy
Rb1 Rb 0.000 0.206 0.000 1
Rb2 Rb 0.000 0.261 0.500 1
Rb3 Rb 0.137 0.500 0.857 1
Ho1 Ho 0.177 0.000 0.649 1
O1 O 0.102 0.000 0.346 1
O2 O 0.193 0.362 0.232 1
```

Computed properties:
Distance to the lowest polymorph of the same formula ... 10 meV per atom
Formation enthalpy at 0 K ... -15.505 eV/f.u.
Raw total energy ... -143.2 eV for the cell shown

=====

# 5
Entry from the Materials Project database: a relaxed Li3IrF6 crystal (PBE-GGA).

The structure in CIF format:
```
data_Li3IrF6
_symmetry_space_group_name_H-M 'P -1'
_symmetry_Int_Tables_number 2
_cell_length_a 4.747
_cell_length_b 5.553
_cell_length_c 5.841
_cell_angle_alpha 63.29
_cell_angle_beta 73.56
_cell_angle_gamma 85.33
loop_
_symmetry_equiv_pos_as_xyz
'x,y,z'
'-x,-y,-z'
loop_
_atom_site_label
_atom_site_type_symbol
_atom_site_fract_x
_atom_site_fract_y
_atom_site_fract_z
_atom_site_occupancy
Li1 Li 0.000 0.000 0.000 1
Li2 Li 0.000 0.500 0.000 1
Li3 Li 0.500 0.000 0.500 1
Ir1 Ir 0.000 0.500 0.500 1
F1 F 0.147 0.739 0.631 1
F2 F 0.229 0.688 0.104 1
F3 F 0.272 0.208 0.660 1
```

Computed properties:
Distance to the lowest polymorph of the same formula ... 0 meV per atom
Formation enthalpy at 0 K ... -24.726 eV/f.u.
Raw total energy ... -48.0 eV for the cell shown

=====

# 6
Entry from the Materials Project database: a relaxed SmAl crystal (PBE-GGA).

The structure in CIF format:
```
data_SmAl
_symmetry_space_group_name_H-M 'P m -3 m'
_symmetry_Int_Tables_number 221
_symmetry_space_group_name_Hall '-P 4 2 3'
_cell_length_a 3.677
_cell_length_b 3.677
_cell_length_c 3.677
_cell_angle_alpha 90.00
_cell_angle_beta 90.00
_cell_angle_gamma 90.00
loop_
_atom_site_label
_atom_site_type_symbol
_atom_site_fract_x
_atom_site_fract_y
_atom_site_fract_z
_atom_site_occupancy
Sm1 Sm 0.000 0.000 0.000 1
Al1 Al 0.500 0.500 0.500 1
```

Computed properties:
Formation enthalpy at 0 K ... -0.740 eV/f.u.
Raw total energy ... -9.2 eV for the cell shown